Record 1
{"formula": "Tb5NiPb3", "functional": "GGA-PBE", "state": "relaxed", "cell": [[3.986, 7.017, 4.440], [-8.421, 1.011, -3.591], [-2.716, -2.110, 5.774]], "species": ["Tb", "Tb", "Tb", "Tb", "Tb", "Tb", "Tb", "Tb", "Tb", "Tb", "Ni", "Ni", "Pb", "Pb", "Pb", "Pb", "Pb", "Pb"], "fractional_positions": [[0.239, 0.239, 0.750], [0.000, 0.761, 0.750], [0.239, 0.000, 0.250], [0.761, 0.000, 0.750], [0.333, 0.667, 0.500], [0.667, 0.333, 0.500], [0.761, 0.761, 0.250], [0.000, 0.239, 0.250], [0.333, 0.667, 0.000], [0.667, 0.333, 0.000], [0.000, 0.000, 0.000], [0.000, 0.000, 0.500], [0.601, 0.000, 0.250], [0.000, 0.601, 0.250], [0.601, 0.601, 0.750], [0.399, 0.399, 0.250], [0.000, 0.399, 0.750], [0.399, 0.000, 0.750]], "dft_energy_ev_per_atom": -4.98, "spacegroup": "P6_3/mcm (193)", "formation_enthalpy_0k_mev_per_atom": -530}

=====

Record 2
{"formula": "KTb2CuS4", "functional": "GGA-PBE", "state": "relaxed", "cell": [[-6.279, 1.443, 2.920], [3.539, -2.467, -5.606], [-0.451, -12.701, 5.305]], "species": ["K", "K", "Tb", "Tb", "Tb", "Tb", "Cu", "Cu", "S", "S", "S", "S", "S", "S", "S", "S"], "fractional_positions": [[0.109, 0.891, 0.250], [0.891, 0.109, 0.750], [0.634, 0.366, 0.937], [0.366, 0.634, 0.437], [0.634, 0.366, 0.563], [0.366, 0.634, 0.063], [0.163, 0.837, 0.750], [0.837, 0.163, 0.250], [0.000, 0.000, 0.500], [0.000, 0.000, 0.000], [0.737, 0.263, 0.111], [0.263, 0.737, 0.889], [0.569, 0.431, 0.750], [0.737, 0.263, 0.389], [0.431, 0.569, 0.250], [0.263, 0.737, 0.611]], "dft_energy_ev_per_atom": -5.54, "spacegroup": "Cmcm (63)", "formation_enthalpy_0k_mev_per_atom": -1912, "m_tot_mub_per_cell": 0.002}

=====

Record 3
{"formula": "CeSi2Ni9", "functional": "GGA-PBE", "state": "relaxed", "cell": [[2.224, -5.565, 4.615], [-5.444, 5.214, 0.618], [-2.859, -4.130, -5.655]], "species": ["Ce", "Ce", "Si", "Si", "Si", "Si", "Ni", "Ni", "Ni", "Ni", "Ni", "Ni", "Ni", "Ni", "Ni", "Ni", "Ni", "Ni", "Ni", "Ni", "Ni", "Ni", "Ni", "Ni"], "fractional_positions": [[0.500, 0.500, 0.000], [0.750, 0.250, 0.500], [0.625, 0.875, 0.750], [0.125, 0.375, 0.250], [0.125, 0.875, 0.750], [0.125, 0.875, 0.250], [0.250, 0.750, 0.500], [0.000, 0.000, 0.000], [0.688, 0.014, 0.079], [0.688, 0.609, 0.673], [0.264, 0.438, 0.579], [0.264, 0.686, 0.827], [0.936, 0.014, 0.327], [0.936, 0.609, 0.921], [0.859, 0.438, 0.173], [0.859, 0.686, 0.421], [0.562, 0.736, 0.421], [0.562, 0.141, 0.827], [0.986, 0.312, 0.921], [0.986, 0.064, 0.673], [0.314, 0.736, 0.173], [0.314, 0.141, 0.579], [0.391, 0.312, 0.327], [0.391, 0.064, 0.079]], "dft_energy_ev_per_atom": -6.21, "spacegroup": "I4_1/amd (141)", "formation_enthalpy_0k_mev_per_atom": -479, "m_tot_mub_per_cell": 0.002}

=====

Record 4
{"formula": "Mg14AlW", "functional": "GGA-PBE", "state": "relaxed", "cell": [[-6.161, -1.021, -0.150], [3.214, -1.054, 5.252], [-1.628, 9.398, 2.882]], "species": ["Mg", "Mg", "Mg", "Mg", "Mg", "Mg", "Mg", "Mg", "Mg", "Mg", "Mg", "Mg", "Mg", "Mg", "Al", "W"], "fractional_positions": [[0.167, 0.834, 0.125], [0.168, 0.834, 0.625], [0.666, 0.333, 0.125], [0.666, 0.332, 0.625], [0.666, 0.834, 0.125], [0.666, 0.834, 0.625], [0.326, 0.174, 0.380], [0.326, 0.174, 0.870], [0.326, 0.652, 0.380], [0.326, 0.652, 0.870], [0.848, 0.174, 0.380], [0.848, 0.174, 0.870], [0.833, 0.667, 0.375], [0.833, 0.667, 0.875], [0.167, 0.333, 0.125], [0.167, 0.333, 0.625]], "dft_energy_ev_per_atom": -2.31, "spacegroup": "P-6m2 (187)", "formation_enthalpy_0k_mev_per_atom": 137, "relative_energy_ev_per_fu": 0.04, "m_tot_mub_per_cell": 0.003}

=====

Record 5
{"formula": "CeSe2", "functional": "GGA-PBE", "state": "relaxed", "cell": [[3.987, 7.427, 0.000], [-3.987, 7.427, 0.000], [0.000, 6.283, 13.430]], "species": ["Ce", "Ce", "Ce", "Ce", "Se", "Se", "Se", "Se", "Se", "Se", "Se", "Se"], "fractional_positions": [[0.059, 0.316, 0.687], [0.684, 0.941, 0.813], [0.941, 0.684, 0.313], [0.316, 0.059, 0.187], [0.500, 0.000, 0.000], [0.000, 0.500, 0.500], [0.188, 0.432, 0.189], [0.568, 0.812, 0.311], [0.812, 0.568, 0.811], [0.432, 0.188, 0.689], [0.992, 0.008, 0.750], [0.008, 0.992, 0.250]], "dft_energy_ev_per_atom": -5.40, "spacegroup": "C2/c (15)", "formation_enthalpy_0k_mev_per_atom": -1402, "m_tot_mub_per_cell": 0.001}

=====

Record 6
{"formula": "Fe6BC", "functional": "GGA-PBE", "state": "relaxed", "cell": [[4.449, 0.000, 0.000], [0.000, 5.212, 0.000], [0.000, 0.000, 6.660]], "species": ["Fe", "Fe", "Fe", "Fe", "Fe", "Fe", "Fe", "Fe", "Fe", "Fe", "Fe", "Fe", "B", "B", "C", "C"], "fractional_positions": [[0.618, 0.523, 0.000], [0.382, 0.023, 0.000], [0.907, 0.465, 0.500], [0.093, 0.965, 0.500], [0.095, 0.679, 0.807], [0.905, 0.179, 0.193], [0.412, 0.325, 0.315], [0.588, 0.825, 0.685], [0.412, 0.325, 0.685], [0.588, 0.825, 0.315], [0.095, 0.679, 0.193], [0.905, 0.179, 0.807], [0.820, 0.881, 0.000], [0.180, 0.381, 0.000], [0.685, 0.123, 0.500], [0.315, 0.623, 0.500]], "dft_energy_ev_per_atom": -8.41, "spacegroup": "Pmc2_1 (26)", "formation_enthalpy_0k_mev_per_atom": -70, "m_tot_mub_per_cell": 23.390}

=====

Record 7
{"formula": "Ti6PtAu", "functional": "GGA-PBE", "state": "relaxed", "cell": [[-2.424, 0.067, -4.461], [4.450, -0.318, -2.423], [-0.311, -5.067, 0.093]], "species": ["Ti", "Ti", "Ti", "Ti", "Ti", "Ti", "Pt", "Au"], "fractional_positions": [[0.000, 0.500, 0.754], [0.500, 0.246, 0.000], [0.754, 0.000, 0.500], [0.000, 0.500, 0.246], [0.500, 0.754, 0.000], [0.246, 0.000, 0.500], [0.000, 0.000, 0.000], [0.500, 0.500, 0.500]], "dft_energy_ev_per_atom": -7.59, "spacegroup": "Pm-3 (200)", "formation_enthalpy_0k_mev_per_atom": -497}

=====

Record 8
{"formula": "LiCuPO4", "functional": "GGA-PBE", "state": "relaxed", "cell": [[5.843, 0.000, 0.000], [0.000, 5.989, 0.000], [0.000, 0.000, 9.925]], "species": ["Li", "Li", "Li", "Li", "Cu", "Cu", "Cu", "Cu", "P", "P", "P", "P", "O", "O", "O", "O", "O", "O", "O", "O", "O", "O", "O", "O", "O", "O", "O", "O"], "fractional_positions": [[0.364, 0.925, 0.053], [0.864, 0.425, 0.447], [0.136, 0.925, 0.553], [0.636, 0.425, 0.947], [0.881, 0.930, 0.121], [0.381, 0.430, 0.379], [0.619, 0.930, 0.621], [0.119, 0.430, 0.879], [0.149, 0.541, 0.130], [0.649, 0.041, 0.370], [0.351, 0.541, 0.630], [0.851, 0.041, 0.870], [0.347, 0.534, 0.022], [0.931, 0.507, 0.040], [0.668, 0.855, 0.263], [0.649, 0.276, 0.304], [0.149, 0.776, 0.196], [0.168, 0.355, 0.237], [0.431, 0.007, 0.460], [0.847, 0.034, 0.478], [0.153, 0.534, 0.522], [0.569, 0.507, 0.540], [0.832, 0.855, 0.763], [0.851, 0.276, 0.804], [0.351, 0.776, 0.696], [0.332, 0.355, 0.737], [0.069, 0.007, 0.960], [0.653, 0.034, 0.978]], "dft_energy_ev_per_atom": -6.22, "spacegroup": "Pna2_1 (33)", "formation_enthalpy_0k_mev_per_atom": -2151, "relative_energy_ev_per_fu": 0.32, "m_tot_mub_per_cell": 4.001}